! CuBr2O8 PBE-GGA optimized geometry; values from VASP
! energy with MP2020 corrections = -192.317 eV for the cell shown
! calculated volume = 189 Å³/f.u.
! DFT formation energy = -102 meV/atom
! total magnetization = 12.0 μB per cell
&SYSTEM
  ibrav = 0, nat = 44, ntyp = 3
/
ATOMIC_SPECIES
Cu 63.55 Cu.upf
Br 79.90 Br.upf
O 16.00 O.upf
CELL_PARAMETERS angstrom
6.761 0.000 0.000
0.000 9.235 0.000
0.000 0.000 12.107
ATOMIC_POSITIONS angstrom
Cu 0.000 0.000 0.000
Cu 0.000 4.618 6.053
Cu 3.380 0.000 6.053
Cu 3.380 4.618 0.000
Br 1.675 2.043 1.816
Br 1.675 2.575 7.869
Br 1.705 6.660 1.816
Br 1.705 7.192 7.869
Br 5.056 2.043 4.238
Br 5.056 2.575 10.291
Br 5.085 6.660 4.238
Br 5.085 7.192 10.291
O 0.333 1.759 0.607
O 0.333 2.859 6.660
O 0.977 1.829 3.289
O 0.977 2.788 9.342
O 1.347 0.278 11.017
O 1.347 4.339 4.964
O 1.599 5.554 7.594
O 1.599 8.299 1.540
O 1.781 0.936 7.594
O 1.781 3.681 1.540
O 2.033 4.896 11.017
O 2.033 8.957 4.964
O 2.403 6.447 3.289
O 2.403 7.406 9.342
O 3.048 6.376 0.607
O 3.048 7.477 6.660
O 3.713 1.759 5.446
O 3.713 2.859 11.500
O 4.357 1.829 2.765
O 4.357 2.788 8.818
O 4.728 0.278 7.143
O 4.728 4.339 1.089
O 4.980 5.554 10.566
O 4.980 8.299 4.513
O 5.161 0.936 10.566
O 5.161 3.681 4.513
O 5.413 4.896 7.143
O 5.413 8.957 1.089
O 5.784 6.447 2.765
O 5.784 7.406 8.818
O 6.428 6.376 5.446
O 6.428 7.477 11.500

=====

! CuPb2Br2O2 PBE-GGA optimized geometry; values from VASP
! energy with MP2020 corrections = -122.629 eV for the cell shown
! calculated volume = 187 Å³/f.u.
! DFT formation energy = -852 meV/atom
! total magnetization = 0.1 μB per cell
&SYSTEM
  ibrav = 0, nat = 28, ntyp = 4
/
ATOMIC_SPECIES
Cu 63.55 Cu.upf
Pb 207.20 Pb.upf
Br 79.90 Br.upf
O 16.00 O.upf
CELL_PARAMETERS angstrom
7.784 0.105 0.000
0.105 7.784 0.000
0.000 0.000 12.331
ATOMIC_POSITIONS angstrom
Cu 1.039 4.878 5.148
Cu 4.878 1.039 5.148
Cu 3.011 6.851 7.183
Cu 6.851 3.011 7.183
Pb 2.959 2.959 1.255
Pb 3.011 6.851 1.264
Pb 6.851 3.011 1.264
Pb 6.904 6.904 1.255
Pb 0.986 0.986 11.076
Pb 1.039 4.878 11.067
Pb 4.878 1.039 11.067
Pb 4.931 4.931 11.076
Br 2.959 2.959 4.657
Br 3.011 6.851 4.791
Br 6.851 3.011 4.791
Br 6.904 6.904 4.657
Br 0.986 0.986 7.673
Br 1.039 4.878 7.540
Br 4.878 1.039 7.540
Br 4.931 4.931 7.673
O 2.932 1.013 0.000
O 2.985 4.905 0.000
O 6.825 1.065 0.000
O 6.877 4.958 0.000
O 1.013 2.932 0.000
O 1.065 6.825 0.000
O 4.905 2.985 0.000
O 4.958 6.877 0.000

=====

! Sr2CuBrO2 PBE-GGA optimized geometry; values from VASP
! energy with MP2020 corrections = -32.950 eV for the cell shown
! calculated volume = 137 Å³/f.u.
! DFT formation energy = -2323 meV/atom
&SYSTEM
  ibrav = 0, nat = 6, ntyp = 4
/
ATOMIC_SPECIES
Sr 87.62 Sr.upf
Cu 63.55 Cu.upf
Br 79.90 Br.upf
O 16.00 O.upf
CELL_PARAMETERS angstrom
2.038 1.176 9.549
-2.038 1.176 9.549
0.000 -2.353 9.549
ATOMIC_POSITIONS angstrom
Sr 0.000 0.000 7.076
Sr 0.000 0.000 21.572
Cu 0.000 0.000 0.000
Br 0.000 0.000 14.324
O 0.000 0.000 1.822
O 0.000 0.000 26.826

=====

! Sr2Cu2TeBr2O6 PBE-GGA optimized geometry; values from VASP
! energy with MP2020 corrections = -142.478 eV for the cell shown
! calculated volume = 237 Å³/f.u.
! DFT formation energy = -1812 meV/atom
! total magnetization = 0.0 μB per cell
&SYSTEM
  ibrav = 0, nat = 26, ntyp = 5
/
ATOMIC_SPECIES
Sr 87.62 Sr.upf
Cu 63.55 Cu.upf
Te 127.60 Te.upf
Br 79.90 Br.upf
O 16.00 O.upf
CELL_PARAMETERS angstrom
9.557 0.000 0.000
0.000 5.258 0.000
-0.885 0.000 9.453
ATOMIC_POSITIONS angstrom
Sr 1.846 0.538 3.005
Sr 1.403 2.091 7.732
Sr 7.268 3.167 1.721
Sr 6.825 4.720 6.447
Cu 3.885 2.720 1.279
Cu 3.443 5.167 6.005
Cu 5.229 0.091 3.447
Cu 4.786 2.538 8.174
Te 4.778 0.000 0.000
Te 4.336 2.629 4.726
Br 0.919 3.216 1.546
Br 0.476 4.671 6.272
Br 8.195 0.587 3.180
Br 7.752 2.042 7.907
O 3.161 0.985 0.551
O 2.718 1.644 5.278
O 2.820 3.691 9.021
O 3.263 4.196 4.294
O 3.744 0.886 7.675
O 4.187 1.743 2.948
O 4.484 3.515 6.504
O 4.927 4.372 1.778
O 5.409 1.062 5.159
O 5.851 1.567 0.432
O 5.953 3.614 4.175
O 5.511 4.273 8.901

=====

! Cu2Te2Br2O5 PBE-GGA optimized geometry; values from VASP
! energy with MP2020 corrections = -108.192 eV for the cell shown
! calculated volume = 205 Å³/f.u.
! DFT formation energy = -1054 meV/atom
! total magnetization = 4.0 μB per cell
&SYSTEM
  ibrav = 0, nat = 22, ntyp = 4
/
ATOMIC_SPECIES
Cu 63.55 Cu.upf
Te 127.60 Te.upf
Br 79.90 Br.upf
O 16.00 O.upf
CELL_PARAMETERS angstrom
7.982 0.000 0.000
0.000 7.982 0.000
0.000 0.000 6.422
ATOMIC_POSITIONS angstrom
Cu 0.275 6.192 2.228
Cu 1.790 0.275 4.194
Cu 6.192 7.706 4.194
Cu 7.706 1.790 2.228
Te 1.087 5.432 5.559
Te 2.549 1.087 0.863
Te 5.432 6.895 0.863
Te 6.895 2.549 5.559
Br 2.118 4.667 2.011
Br 3.315 2.118 4.411
Br 4.667 5.864 4.411
Br 5.864 3.315 2.011
O 0.000 3.991 4.761
O 0.284 2.062 0.379
O 0.560 6.633 4.121
O 1.349 0.560 2.301
O 2.062 7.698 6.043
O 3.991 0.000 1.662
O 5.920 0.284 6.043
O 6.633 7.422 2.301
O 7.422 1.349 4.121
O 7.698 5.920 0.379

=====

! Cu6PS5Br PBE-GGA optimized geometry; values from VASP
! energy with MP2020 corrections = -116.842 eV for the cell shown
! calculated volume = 228 Å³/f.u.
! DFT formation energy = -469 meV/atom
! total magnetization = 0.0 μB per cell
&SYSTEM
  ibrav = 0, nat = 26, ntyp = 4
/
ATOMIC_SPECIES
Cu 63.55 Cu.upf
P 30.97 P.upf
S 32.06 S.upf
Br 79.90 Br.upf
CELL_PARAMETERS angstrom
5.912 -3.423 0.000
5.912 3.423 0.000
-3.923 0.000 11.261
ATOMIC_POSITIONS angstrom
Cu 3.951 3.304 5.631
Cu 1.425 1.590 5.687
Cu 1.499 0.512 3.123
Cu -0.462 -0.512 8.754
Cu 5.034 1.028 3.108
Cu 4.153 0.232 5.581
Cu 3.387 -1.590 0.056
Cu 2.192 -0.232 11.211
Cu 3.073 -1.028 8.738
Cu 8.832 0.331 3.093
Cu 6.870 -0.331 8.723
Cu 5.912 -3.304 0.000
P 3.158 1.708 0.147
P 1.197 -1.708 5.778
S 3.143 1.731 4.217
S 2.096 0.087 0.883
S 0.134 -0.087 6.514
S 5.105 1.598 0.856
S 7.117 1.731 3.696
S 1.182 -1.731 9.848
S 3.144 -1.598 6.487
S 8.189 0.021 0.860
S 6.227 -0.021 6.490
S 5.156 -1.731 9.327
Br 3.161 1.692 8.569
Br 5.123 -1.692 2.939